# AlCu3HgSe4 PBE optimized geometry
# total magnetization = 0.00 μB per atom
# energy of formation = -0.423 eV per atom
# theoretical density = 5.9 g/cm3
# calculated total energy = -3.58 eV per atom
data_AlCu3HgSe4
_space_group_name_H-M_alt 'P -4 3 m'
_space_group_IT_number 215
_space_group_name_Hall 'P -4 2 3'
_cell_length_a 5.896
_cell_length_b 5.896
_cell_length_c 5.896
_cell_angle_alpha 90.00
_cell_angle_beta 90.00
_cell_angle_gamma 90.00
loop_
_atom_site_label
_atom_site_type_symbol
_atom_site_fract_x
_atom_site_fract_y
_atom_site_fract_z
Al1 Al 0.000 0.000 0.000
Cu1 Cu 0.000 0.000 0.500
Hg1 Hg 0.500 0.500 0.500
Se1 Se 0.236 0.236 0.236